Entry 1:
A geometry-optimized Cs3Cu5O4 structure. Source: the Materials Project database, functional r²SCAN.

Cell and atoms, written as extended XYZ:
```
48
Lattice="-6.0880 1.6134 4.1364 5.4439 -1.5908 8.6329 5.9141 13.0502 3.6143" Properties=species:S:1:pos:R:3 pbc="T T T"
O 5.9894 3.6695 9.4304
O 7.7178 10.5202 12.0724
O 7.0050 11.1476 6.9871
O 0.4267 1.8709 6.4571
O 1.8527 8.4904 3.4865
O 3.4173 4.5823 12.8971
O 6.1579 7.6608 6.3794
O 4.8434 11.2018 9.9264
O -0.8879 5.4119 10.0042
O -1.7350 1.9251 9.3965
O -2.4478 2.5525 4.3111
O -0.5368 1.8149 1.2937
O -0.7194 9.4033 6.9531
O 1.9133 5.1883 6.6303
O 3.3567 7.8845 9.7532
O 5.8068 11.2578 15.0898
Cu 4.1206 9.5280 9.8166
Cu 5.4419 1.9305 9.6792
Cu 3.6051 8.2134 3.1607
Cu 6.2619 10.7618 10.9862
Cu 1.1494 3.5447 6.5670
Cu 1.7462 8.6236 10.1264
Cu 5.5544 3.6405 7.6506
Cu 7.5041 8.6927 12.0944
Cu -2.2341 4.3801 4.2891
Cu -0.6561 1.9514 7.9424
Cu -1.4572 2.2462 2.7839
Cu -1.3436 3.6674 9.7129
Cu 6.7272 10.8265 13.5997
Cu 5.9261 11.1213 8.4412
Cu -0.1719 11.1423 6.7043
Cu -0.9919 2.3110 5.3974
Cu 6.6136 9.4054 6.6706
Cu -0.2844 9.4322 8.7329
Cu 3.5238 4.4492 6.2571
Cu 1.6649 4.8594 13.2229
Cs -0.8854 6.3088 7.1940
Cs 0.3867 1.1339 11.4994
Cs 4.8833 11.9388 4.8841
Cs 2.6099 0.3949 7.7822
Cs 4.3000 7.4056 12.6568
Cs 3.4272 12.0192 12.8461
Cs 1.8428 1.0536 3.5374
Cs 0.9700 5.6672 3.7267
Cs 2.6601 12.6779 8.6014
Cs 6.1554 6.7640 9.1895
Cs 2.8524 8.0948 6.6678
Cs 2.4176 4.9780 9.7158
```

***

Entry 2:
A geometry-optimized CsCuS4 structure. Source: the Materials Project database, functional r²SCAN.

Cell and atoms, written as extended XYZ:
```
24
Lattice="-4.9352 -1.4648 0.9396 2.1755 -1.9081 8.4520 -3.1157 12.8767 3.7090" Properties=species:S:1:pos:R:3 pbc="T T T"
S -4.0003 -0.6858 3.6311
S 1.4905 -0.9050 8.2733
S -0.1349 3.5914 8.3232
S -4.9882 3.2515 6.1578
S -3.3477 5.3456 8.7550
S -1.9372 3.9286 5.2520
S -5.7088 6.3266 3.7526
S -3.8935 2.0707 7.5331
S -4.4389 10.0006 8.7032
S -1.6864 -1.4717 8.6897
S -2.4182 10.2242 8.5069
S -5.0887 9.3426 6.7983
S -4.2677 10.7564 5.4920
S -0.8934 1.4065 1.8895
S -1.8752 6.1879 9.9804
S -3.8141 6.6606 3.0670
Cs -0.8547 0.5192 5.8092
Cs -4.2047 3.1970 2.5546
Cs -2.0123 7.4824 6.1780
Cs -4.6789 7.8091 11.6595
Cu -2.5172 -0.2670 1.9477
Cu -2.3214 11.3555 6.5225
Cu -2.2614 3.7369 7.5071
Cu -4.6507 4.1823 10.2240
```

***

Which energy of formation from the pure elements belongs to each record? In order, -0.954 -0.531 eV/atom.
Which DFT total energy belongs to each record? In order, -13.742 -11.880 eV per atom.